Record 1
Compound: BaY2Si3O10
Source: the Materials Project
Functional: PBE-GGA
Structure: optimized geometry

Cell: 12.3580 5.4740 6.9355 Å, 73.64 90.00 90.00°
Atoms (fractional coordinates):
1 Ba 0.7500 0.7628 0.9848
2 Ba 0.2500 0.2372 0.0152
3 Y 0.5987 0.1588 0.3154
4 Y 0.9013 0.1588 0.3154
5 Y 0.0987 0.8412 0.6846
6 Y 0.4013 0.8412 0.6846
7 Si 0.0617 0.6957 0.2142
8 Si 0.2500 0.4186 0.4882
9 Si 0.7500 0.5814 0.5118
10 Si 0.4383 0.6957 0.2142
11 Si 0.5617 0.3043 0.7858
12 Si 0.9383 0.3043 0.7858
13 O 0.4497 0.8975 0.3517
14 O 0.1434 0.4541 0.3385
15 O 0.8566 0.5459 0.6615
16 O 0.3566 0.4541 0.3385
17 O 0.3776 0.8360 0.0035
18 O 0.8776 0.1640 0.9965
19 O 0.0537 0.4348 0.8081
20 O 0.9497 0.1025 0.6483
21 O 0.5503 0.1025 0.6483
22 O 0.2500 0.6270 0.6165
23 O 0.1224 0.8360 0.0035
24 O 0.5537 0.5652 0.1919
25 O 0.2500 0.1250 0.6329
26 O 0.6434 0.5459 0.6615
27 O 0.7500 0.8750 0.3671
28 O 0.9463 0.5652 0.1919
29 O 0.7500 0.3730 0.3835
30 O 0.4463 0.4348 0.8081
31 O 0.6224 0.1640 0.9965
32 O 0.0503 0.8975 0.3517

Output
Symmetry: P2_1/m, No. 11
Crystal system: monoclinic

---

Record 2
Compound: LiLaC4O10
Source: the Materials Project
Functional: PBE-GGA
Structure: optimized geometry

Cell: 7.6808 9.6440 12.9300 Å, 74.94 90.00 90.00°
Atoms (fractional coordinates):
1 Li 0.3090 0.5898 0.2989
2 Li 0.6910 0.4102 0.7011
3 Li 0.3090 0.9102 0.7011
4 Li 0.6910 0.0898 0.2989
5 La 0.7790 0.7156 0.2543
6 La 0.2210 0.2844 0.7457
7 La 0.7790 0.7844 0.7457
8 La 0.2210 0.2156 0.2543
9 C 0.8286 0.3665 0.2773
10 C 0.1714 0.6335 0.7227
11 C 0.8286 0.1335 0.7227
12 C 0.1714 0.8665 0.2773
13 C 0.8752 0.7500 0.0000
14 C 0.1248 0.2500 0.0000
15 C 0.6717 0.7500 0.0000
16 C 0.3283 0.2500 0.0000
17 C 0.3723 0.8803 0.2852
18 C 0.6277 0.1197 0.7148
19 C 0.3723 0.6197 0.7148
20 C 0.6277 0.3803 0.2852
21 C 0.7762 0.8339 0.4791
22 C 0.2238 0.1661 0.5209
23 C 0.7762 0.6661 0.5209
24 C 0.2238 0.3339 0.4791
25 O 0.5663 0.5045 0.2776
26 O 0.4337 0.4955 0.7224
27 O 0.5663 0.9955 0.7224
28 O 0.4337 0.0045 0.2776
29 O 0.9489 0.7657 0.0838
30 O 0.0511 0.2343 0.9162
31 O 0.9489 0.7343 0.9162
32 O 0.0511 0.2657 0.0838
33 O 0.5980 0.7529 0.0870
34 O 0.4020 0.2471 0.9130
35 O 0.5980 0.7471 0.9130
36 O 0.4020 0.2529 0.0870
37 O 0.7698 0.8854 0.3776
38 O 0.2302 0.1146 0.6224
39 O 0.7698 0.6146 0.6224
40 O 0.2302 0.3854 0.3776
41 O 0.2617 0.5267 0.1226
42 O 0.7383 0.4733 0.8774
43 O 0.2617 0.9733 0.8774
44 O 0.7383 0.0267 0.1226
45 O 0.7783 0.9062 0.5474
46 O 0.2217 0.0938 0.4526
47 O 0.7783 0.5938 0.4526
48 O 0.2217 0.4062 0.5474
49 O 0.4582 0.7654 0.2958
50 O 0.5418 0.2346 0.7042
51 O 0.4582 0.7346 0.7042
52 O 0.5418 0.2654 0.2958
53 O 0.8895 0.2403 0.2929
54 O 0.1105 0.7597 0.7071
55 O 0.8895 0.2597 0.7071
56 O 0.1105 0.7403 0.2929
57 O 0.7328 0.4167 0.9744
58 O 0.2672 0.5833 0.0256
59 O 0.7328 0.0833 0.0256
60 O 0.2672 0.9167 0.9744
61 O 0.9157 0.4817 0.2531
62 O 0.0843 0.5183 0.7469
63 O 0.9157 0.0183 0.7469
64 O 0.0843 0.9817 0.2531

Output
Symmetry: P2/c, No. 13
Crystal system: monoclinic

---

Record 3
Compound: Mg6BiW
Source: the Materials Project
Functional: PBE-GGA
Structure: optimized geometry

Cell: 5.1072 6.2429 10.6382 Å, 90.00 90.00 90.00°
Atoms (fractional coordinates):
1 Mg 0.0000 0.2414 0.0806
2 Mg 0.0000 0.7586 0.0806
3 Mg 0.0000 0.5000 0.8344
4 Mg 0.5000 0.2368 0.9140
5 Mg 0.5000 0.7632 0.9140
6 Mg 0.5000 0.5000 0.6664
7 Mg 0.0000 0.7414 0.5806
8 Mg 0.0000 0.2586 0.5806
9 Mg 0.0000 0.0000 0.3344
10 Mg 0.5000 0.7368 0.4140
11 Mg 0.5000 0.2632 0.4140
12 Mg 0.5000 0.0000 0.1664
13 Bi 0.5000 0.5000 0.1725
14 Bi 0.5000 0.0000 0.6725
15 W 0.0000 0.5000 0.3373
16 W 0.0000 0.0000 0.8373

Output
Excess energy over the best structure of this formula in the dataset (meV/atom): 0

---

Record 4
Compound: MgSnO3
Source: the Materials Project
Functional: PBE-GGA
Structure: optimized geometry

Cell: 5.3317 5.4569 7.8395 Å, 90.00 90.00 90.00°
Atoms (fractional coordinates):
1 Mg 0.9994 0.9564 0.7500
2 Mg 0.5006 0.4564 0.7500
3 Mg 0.4994 0.5436 0.2500
4 Mg 0.0006 0.0436 0.2500
5 Sn 0.0000 0.5000 0.0000
6 Sn 0.0000 0.5000 0.5000
7 Sn 0.5000 0.0000 0.5000
8 Sn 0.5000 0.0000 0.0000
9 O 0.1356 0.4130 0.2500
10 O 0.1713 0.1764 0.5719
11 O 0.1713 0.1764 0.9281
12 O 0.3287 0.6764 0.5719
13 O 0.3287 0.6764 0.9281
14 O 0.3644 0.9130 0.2500
15 O 0.6356 0.0870 0.7500
16 O 0.6713 0.3236 0.0719
17 O 0.6713 0.3236 0.4281
18 O 0.8287 0.8236 0.0719
19 O 0.8287 0.8236 0.4281
20 O 0.8644 0.5870 0.7500

Output
Symmetry: Pnma, No. 62
Crystal system: orthorhombic

---

Record 5
Compound: In3Te3I
Source: the Materials Project
Functional: PBE-GGA
Structure: optimized geometry

Cell: 4.4079 11.9003 20.4438 Å, 90.00 90.00 90.00°
Atoms (fractional coordinates):
1 In 0.2500 0.3191 0.0128
2 In 0.2500 0.8479 0.1329
3 In 0.2500 0.4442 0.8942
4 In 0.7500 0.5558 0.1058
5 In 0.7500 0.6809 0.9872
6 In 0.7500 0.0558 0.3942
7 In 0.7500 0.1521 0.8671
8 In 0.2500 0.9442 0.6058
9 In 0.7500 0.1809 0.5128
10 In 0.2500 0.8191 0.4872
11 In 0.2500 0.3479 0.3671
12 In 0.7500 0.6521 0.6329
13 Te 0.7500 0.7405 0.1978
14 Te 0.7500 0.6607 0.4938
15 Te 0.2500 0.3393 0.5062
16 Te 0.2500 0.8393 0.9938
17 Te 0.7500 0.1607 0.0062
18 Te 0.2500 0.4116 0.1423
19 Te 0.2500 0.9116 0.3577
20 Te 0.2500 0.7595 0.6978
21 Te 0.7500 0.0884 0.6423
22 Te 0.7500 0.5884 0.8577
23 Te 0.7500 0.2405 0.3022
24 Te 0.2500 0.2595 0.8022
25 I 0.2500 0.5700 0.3273
26 I 0.7500 0.4300 0.6727
27 I 0.2500 0.0700 0.1727
28 I 0.7500 0.9300 0.8273

Output
Symmetry: Pnma, No. 62
Crystal system: orthorhombic

---

Record 6
Compound: BaZn13
Source: the Materials Project
Functional: PBE-GGA
Structure: optimized geometry

Cell: 8.7705 8.7705 8.7705 Å, 60.00 60.00 60.00°
Atoms (fractional coordinates):
1 Ba 0.7500 0.7500 0.7500
2 Ba 0.2500 0.2500 0.2500
3 Zn 0.4405 0.7992 0.5595
4 Zn 0.0595 0.9405 0.7008
5 Zn 0.5595 0.4405 0.7992
6 Zn 0.7992 0.5595 0.4405
7 Zn 0.2008 0.7992 0.4405
8 Zn 0.7008 0.0595 0.9405
9 Zn 0.4405 0.5595 0.2008
10 Zn 0.7008 0.9405 0.2992
11 Zn 0.4405 0.2008 0.7992
12 Zn 0.9405 0.7008 0.0595
13 Zn 0.0595 0.2992 0.9405
14 Zn 0.9405 0.2992 0.7008
15 Zn 0.7008 0.2992 0.0595
16 Zn 0.2008 0.4405 0.5595
17 Zn 0.7992 0.4405 0.2008
18 Zn 0.2992 0.7008 0.9405
19 Zn 0.0595 0.7008 0.2992
20 Zn 0.5595 0.7992 0.2008
21 Zn 0.2992 0.9405 0.0595
22 Zn 0.2008 0.5595 0.7992
23 Zn 0.2992 0.0595 0.7008
24 Zn 0.7992 0.2008 0.5595
25 Zn 0.9405 0.0595 0.2992
26 Zn 0.5595 0.2008 0.4405
27 Zn 0.0000 0.0000 0.0000
28 Zn 0.5000 0.5000 0.5000

Output
Symmetry: Fm-3c, No. 226
Crystal system: cubic

---

Record 7
Compound: Sr2LaF7
Source: the Materials Project
Functional: PBE-GGA
Structure: optimized geometry

Cell: 4.1504 4.1504 21.0916 Å, 88.80 88.80 59.30°
Atoms (fractional coordinates):
1 Sr 0.0216 0.0216 0.0051
2 Sr 0.3525 0.3525 0.1709
3 Sr 0.6692 0.6692 0.3333
4 Sr 0.9988 0.9988 0.4972
5 La 0.3377 0.3377 0.6706
6 La 0.6717 0.6717 0.8438
7 F 0.6817 0.6817 0.2148
8 F 0.7154 0.7154 0.0635
9 F 0.9994 0.9994 0.3752
10 F 0.0280 0.0280 0.1303
11 F 0.3321 0.3321 0.5446
12 F 0.3396 0.3396 0.2926
13 F 0.6678 0.6678 0.6818
14 F 0.6680 0.6680 0.4568
15 F 0.9954 0.9954 0.7319
16 F 0.9987 0.9987 0.8621
17 F 0.9995 0.9995 0.6132
18 F 0.3208 0.3208 0.9110
19 F 0.3292 0.3292 0.7885
20 F 0.6477 0.6477 0.9536

Output
Symmetry: Cm, No. 8
Crystal system: monoclinic

---

Record 8
Compound: Na6HfH8S5O24
Source: the Materials Project
Functional: PBE-GGA
Structure: optimized geometry

Cell: 11.2900 8.6315 10.7942 Å, 81.31 90.00 90.00°
Atoms (fractional coordinates):
1 Na 0.1750 0.0539 0.5065
2 Na 0.6750 0.9461 0.4935
3 Na 0.8082 0.5312 0.0206
4 Na 0.3082 0.4688 0.9794
5 Na 0.5292 0.5896 0.4673
6 Na 0.0292 0.4104 0.5327
7 Na 0.0304 0.2071 0.0493
8 Na 0.5304 0.7929 0.9507
9 Na 0.1766 0.6929 0.7292
10 Na 0.6766 0.3071 0.2708
11 Na 0.4366 0.9773 0.2262
12 Na 0.9366 0.0227 0.7738
13 Hf 0.4979 0.2229 0.7270
14 Hf 0.9979 0.7771 0.2730
15 H 0.8427 0.5346 0.3817
16 H 0.3427 0.4654 0.6183
17 H 0.9247 0.4527 0.2908
18 H 0.4247 0.5473 0.7092
19 H 0.3410 0.0242 0.9711
20 H 0.8410 0.9758 0.0289
21 H 0.7693 0.1216 0.9731
22 H 0.2693 0.8784 0.0269
23 H 0.9573 0.4878 0.8270
24 H 0.4573 0.5122 0.1730
25 H 0.8869 0.3363 0.8411
26 H 0.3869 0.6637 0.1589
27 H 0.2432 0.2671 0.2177
28 H 0.7432 0.7329 0.7823
29 H 0.1692 0.4187 0.1948
30 H 0.6692 0.5813 0.8052
31 S 0.7317 0.3017 0.6190
32 S 0.2317 0.6983 0.3810
33 S 0.1982 0.2488 0.7780
34 S 0.6982 0.7512 0.2220
35 S 0.4399 0.2248 0.4033
36 S 0.9399 0.7752 0.5967
37 S 0.4252 0.8467 0.6789
38 S 0.9252 0.1533 0.3211
39 S 0.5530 0.2612 0.9838
40 S 0.0530 0.7388 0.0162
41 O 0.6533 0.3890 0.7012
42 O 0.1533 0.6110 0.2988
43 O 0.6619 0.1494 0.6299
44 O 0.1619 0.8506 0.3701
45 O 0.7329 0.3885 0.4910
46 O 0.2329 0.6115 0.5090
47 O 0.8518 0.2726 0.6701
48 O 0.3518 0.7274 0.3299
49 O 0.3250 0.1831 0.7991
50 O 0.8250 0.8169 0.2009
51 O 0.1665 0.2456 0.6458
52 O 0.6665 0.7544 0.3542
53 O 0.1207 0.1464 0.8643
54 O 0.6207 0.8536 0.1357
55 O 0.1999 0.4120 0.8056
56 O 0.6999 0.5880 0.1944
57 O 0.4333 0.2182 0.5449
58 O 0.9333 0.7818 0.4551
59 O 0.5347 0.1184 0.3723
60 O 0.0347 0.8816 0.6277
61 O 0.4687 0.3888 0.3484
62 O 0.9687 0.6112 0.6516
63 O 0.3240 0.1728 0.3605
64 O 0.8240 0.8272 0.6395
65 O 0.4851 0.9697 0.7457
66 O 0.9851 0.0303 0.2543
67 O 0.5056 0.8081 0.5804
68 O 0.0056 0.1919 0.4196
69 O 0.4087 0.7046 0.7773
70 O 0.9087 0.2954 0.2227
71 O 0.3090 0.9027 0.6316
72 O 0.8090 0.0973 0.3684
73 O 0.5772 0.1278 0.9073
74 O 0.0772 0.8722 0.0927
75 O 0.4955 0.3794 0.8838
76 O 0.9955 0.6206 0.1162
77 O 0.4692 0.2138 0.0854
78 O 0.9692 0.7862 0.9146
79 O 0.6655 0.3166 0.0295
80 O 0.1655 0.6834 0.9705
81 O 0.4228 0.4613 0.6547
82 O 0.9228 0.5387 0.3453
83 O 0.8459 0.0706 0.9665
84 O 0.3459 0.9294 0.0335
85 O 0.9268 0.4055 0.8918
86 O 0.4268 0.5945 0.1082
87 O 0.1953 0.3316 0.1527
88 O 0.6953 0.6684 0.8473

Output
Symmetry: P2_1, No. 4
Crystal system: monoclinic

---

Record 9
Compound: LuSi
Source: the Materials Project
Functional: PBE-GGA
Structure: optimized geometry

Cell: 5.5579 5.5579 3.7677 Å, 90.00 90.00 135.98°
Atoms (fractional coordinates):
1 Lu 0.8593 0.1407 0.7500
2 Lu 0.1407 0.8593 0.2500
3 Si 0.5784 0.4216 0.7500
4 Si 0.4216 0.5784 0.2500

Output
Symmetry: Cmcm, No. 63
Crystal system: orthorhombic

---

Record 10
Compound: NdAl3Pb2O8
Source: the Materials Project
Functional: PBE-GGA
Structure: optimized geometry

Cell: 9.6327 9.6327 9.6327 Å, 90.00 90.00 90.00°
Atoms (fractional coordinates):
1 Nd 0.7500 0.7500 0.7500
2 Nd 0.2500 0.2500 0.7500
3 Nd 0.7500 0.2500 0.2500
4 Nd 0.2500 0.7500 0.2500
5 Al 0.5000 0.0000 0.2500
6 Al 0.5000 0.2500 0.0000
7 Al 0.5000 0.7500 0.0000
8 Al 0.5000 0.0000 0.7500
9 Al 0.0000 0.5000 0.2500
10 Al 0.2500 0.5000 0.0000
11 Al 0.2500 0.0000 0.5000
12 Al 0.0000 0.5000 0.7500
13 Al 0.7500 0.0000 0.5000
14 Al 0.0000 0.7500 0.5000
15 Al 0.7500 0.5000 0.0000
16 Al 0.0000 0.2500 0.5000
17 Pb 0.8672 0.1328 0.8672
18 Pb 0.8672 0.8672 0.1328
19 Pb 0.1328 0.1328 0.1328
20 Pb 0.3672 0.6328 0.6328
21 Pb 0.1328 0.8672 0.8672
22 Pb 0.6328 0.3672 0.6328
23 Pb 0.3672 0.3672 0.3672
24 Pb 0.6328 0.6328 0.3672
25 O 0.8436 0.5137 0.8436
26 O 0.9863 0.3436 0.3436
27 O 0.1564 0.4863 0.8436
28 O 0.8436 0.1564 0.4863
29 O 0.3436 0.3436 0.9863
30 O 0.3436 0.6564 0.0137
31 O 0.6092 0.3908 0.3908
32 O 0.3908 0.6092 0.3908
33 O 0.1092 0.8908 0.1092
34 O 0.8908 0.8908 0.8908
35 O 0.8436 0.4863 0.1564
36 O 0.6564 0.0137 0.3436
37 O 0.1092 0.1092 0.8908
38 O 0.8908 0.1092 0.1092
39 O 0.6092 0.6092 0.6092
40 O 0.1564 0.1564 0.5137
41 O 0.6564 0.3436 0.0137
42 O 0.9863 0.6564 0.6564
43 O 0.6564 0.9863 0.6564
44 O 0.4863 0.8436 0.1564
45 O 0.5137 0.8436 0.8436
46 O 0.1564 0.5137 0.1564
47 O 0.3436 0.0137 0.6564
48 O 0.8436 0.8436 0.5137
49 O 0.3436 0.9863 0.3436
50 O 0.1564 0.8436 0.4863
51 O 0.6564 0.6564 0.9863
52 O 0.3908 0.3908 0.6092
53 O 0.5137 0.1564 0.1564
54 O 0.0137 0.6564 0.3436
55 O 0.0137 0.3436 0.6564
56 O 0.4863 0.1564 0.8436

Output
Symmetry: Pn-3m, No. 224
Crystal system: cubic

---

Which total energy belongs to each record? In order, -8.202, -7.357, -3.040, -6.108, -3.121, -1.481, -6.067, -5.832, -5.773, -7.085 eV per atom.
Which E_form belongs to each record? In order, -3594, -1630, 266, -2429, -431, -174, -4219, -2014, -764, -2977 meV/atom.
Which calculated volume belongs to each record? In order, 14.1, 14.5, 21.2, 11.4, 38.3, 17.0, 15.6, 11.8, 20.2, 16.0 Å³/atom.